Record 1
Here is an optimized crystal structure of Li3Mn2FeB3O9 from the Materials Project. Energies are from GGA+U.

```
data_Li3Mn2FeB3O9
_space_group_name_H-M_alt 'P 1 m 1'
_space_group_IT_number 6
_cell_length_a 8.2534
_cell_length_b 6.3411
_cell_length_c 8.2664
_cell_angle_alpha 90.00
_cell_angle_beta 119.87
_cell_angle_gamma 90.00
loop_
_space_group_symop_operation_xyz
'x,y,z'
'x,-y,z'
loop_
_atom_site_label
_atom_site_fract_x
_atom_site_fract_y
_atom_site_fract_z
_atom_site_occupancy
Li1 0.0000 0.2494 0.0000 1
Li2 0.2671 0.2500 0.5862 1
Li3 0.5855 0.2503 0.3188 1
Mn1 0.2961 0.0000 0.9417 1
Mn2 0.6433 0.5000 0.6737 1
Mn3 0.9113 0.0000 0.2896 1
Mn4 0.9111 0.5000 0.2895 1
Fe1 0.2908 0.5000 0.9416 1
Fe2 0.6432 0.0000 0.6688 1
B1 0.2842 0.0000 0.3048 1
B2 0.2861 0.5000 0.3012 1
B3 0.6159 0.2500 0.9670 1
B4 0.9504 0.2499 0.6360 1
O1 0.1443 0.2539 0.7438 1
O2 0.1720 0.0000 0.1115 1
O3 0.1726 0.5000 0.1067 1
O4 0.2042 0.0000 0.4185 1
O5 0.2046 0.5000 0.4136 1
O6 0.4790 0.0000 0.3860 1
O7 0.4795 0.5000 0.3808 1
O8 0.5035 0.2525 0.0487 1
O9 0.5357 0.2479 0.7738 1
O10 0.8101 0.2496 0.0795 1
O11 0.8423 0.2456 0.7217 1
O12 0.8650 0.2503 0.4427 1
```

Results
**Energy with MP2020 corrections**: -7.84 eV/atom



Record 2
Here is an optimized crystal structure of TlSbWO6 from the Materials Project. Energies are from GGA+U.

```
data_TlSbWO6
_space_group_name_H-M_alt 'I m a 2'
_space_group_IT_number 46
_cell_length_a 7.3122
_cell_length_b 10.4649
_cell_length_c 7.4181
_cell_angle_alpha 90.00
_cell_angle_beta 90.00
_cell_angle_gamma 90.00
loop_
_space_group_symop_operation_xyz
'x,y,z'
'-x,-y,z'
'-x+1/2,y,z'
'x+1/2,-y,z'
'x+1/2,y+1/2,z+1/2'
'-x+1/2,-y+1/2,z+1/2'
'-x,y+1/2,z+1/2'
'x,-y+1/2,z+1/2'
loop_
_atom_site_label
_atom_site_fract_x
_atom_site_fract_y
_atom_site_fract_z
_atom_site_occupancy
Tl1 0.2500 0.1522 0.0000 1
Sb1 0.0000 0.0000 0.5556 1
W1 0.2500 0.7481 0.8032 1
O1 0.0612 0.6269 0.2494 1
O2 0.0608 0.6281 0.8650 1
O3 0.2500 0.0751 0.5592 1
O4 0.2500 0.6919 0.5561 1
```

Results
**Largest piezoelectric modulus**: 3.863 C/m²
**Energy with MP2020 corrections**: -7.39 eV/atom



Record 3
Here is an optimized crystal structure of VH20S2N2O14 from the Materials Project. Energies are from GGA+U.

```
data_VH20S2N2O14
_space_group_name_H-M_alt 'P 1 21/c 1'
_space_group_IT_number 14
_cell_length_a 6.0833
_cell_length_b 12.8643
_cell_length_c 9.4739
_cell_angle_alpha 90.00
_cell_angle_beta 103.02
_cell_angle_gamma 90.00
loop_
_space_group_symop_operation_xyz
'x,y,z'
'-x,-y,-z'
'-x,y+1/2,-z+1/2'
'x,-y+1/2,z+1/2'
loop_
_atom_site_label
_atom_site_fract_x
_atom_site_fract_y
_atom_site_fract_z
_atom_site_occupancy
V1 0.0000 0.0000 0.0000 1
H1 0.0632 0.1816 0.2347 1
H2 0.0828 0.5891 0.7669 1
H3 0.1310 0.1557 0.3037 1
H4 0.1825 0.6667 0.0688 1
H5 0.2972 0.1654 0.0360 1
H6 0.3295 0.5732 0.7203 1
H7 0.3305 0.0823 0.9097 1
H8 0.3698 0.5807 0.1596 1
H9 0.3743 0.7029 0.2238 1
H10 0.4549 0.6790 0.0666 1
S1 0.2734 0.1273 0.6059 1
N1 0.3449 0.6581 0.1312 1
O1 0.0424 0.1550 0.6205 1
O2 0.1285 0.5889 0.4053 1
O3 0.1597 0.5708 0.6867 1
O4 0.2684 0.0593 0.4814 1
O5 0.2684 0.0911 0.9986 1
O6 0.3971 0.0726 0.7429 1
O7 0.4045 0.2251 0.5906 1
```

Results
**Energy with MP2020 corrections**: -5.50 eV/atom



Record 4
Here is an optimized crystal structure of CsFeAgF6 from the Materials Project. Energies are from GGA+U.

```
data_CsFeAgF6
_space_group_name_H-M_alt 'P n m a'
_space_group_IT_number 62
_cell_length_a 7.5864
_cell_length_b 7.7214
_cell_length_c 10.8682
_cell_angle_alpha 90.00
_cell_angle_beta 90.00
_cell_angle_gamma 90.00
loop_
_space_group_symop_operation_xyz
'x,y,z'
'-x,-y,-z'
'-x+1/2,-y,z+1/2'
'x+1/2,y,-z+1/2'
'x+1/2,-y+1/2,-z+1/2'
'-x+1/2,y+1/2,z+1/2'
'-x,y+1/2,-z'
'x,-y+1/2,z'
loop_
_atom_site_label
_atom_site_fract_x
_atom_site_fract_y
_atom_site_fract_z
_atom_site_occupancy
Cs1 0.0165 0.2500 0.1255 1
Fe1 0.0000 0.0000 0.5000 1
Ag1 0.2035 0.2500 0.7568 1
F1 0.0517 0.7500 0.1758 1
F2 0.0580 0.2500 0.4833 1
F3 0.1298 0.5067 0.6554 1
F4 0.2193 0.5506 0.4145 1
```

Results
**Energy with MP2020 corrections**: -5.00 eV/atom



Table of energy relative to the elements (eV/f.u.), in record order: -44.10; -17.40; -43.38; -21.35
Table of E (eV per atom), in record order: -7.19; -6.44; -5.21; -4.45
Table of M_tot (μB/atom), in record order: 0.78; 0.00; 0.03; 0.56